1.
First-principles (PBE+U) data for CaMn8O8F8 after structural relaxation, as listed in the Materials Project.

Computed properties:
E_form   -60.32 eV/f.u.

a b c (Å): 4.8019 4.8452 13.0100
angles (deg): 89.95 90.31 90.91
Element x y z (fractional)
Ca: 0.5373 0.0764 0.4974
Mn: 0.9917 0.9697 0.9983
Mn: 0.0491 0.0360 0.2364
Mn: 0.0288 0.6889 0.4930
Mn: 0.0433 0.0293 0.7571
Mn: 0.4664 0.5395 0.6478
Mn: 0.5507 0.4694 0.1135
Mn: 0.4855 0.5429 0.3443
Mn: 0.4792 0.5323 0.8813
O: 0.2256 0.8382 0.3623
O: 0.2150 0.8340 0.6240
O: 0.1962 0.8226 0.8834
O: 0.3322 0.3313 0.2328
O: 0.2890 0.3630 0.7614
O: 0.7021 0.6716 0.9982
O: 0.6131 0.6155 0.4945
O: 0.8325 0.1719 0.1176
F: 0.2527 0.7828 0.1197
F: 0.2887 0.2775 0.9993
F: 0.1483 0.2930 0.5063
F: 0.7595 0.7234 0.2410
F: 0.7213 0.7389 0.7546
F: 0.7655 0.2341 0.3554
F: 0.7344 0.2270 0.6438
F: 0.7782 0.2187 0.8742

2.
First-principles (PBE+U) data for CaNiF4 after structural relaxation, as listed in the Materials Project.

Computed properties:
E_form   -18.48 eV/f.u.

a b c (Å): 6.5174 6.5174 6.5174
angles (deg): 131.01 131.01 71.80
Element x y z (fractional)
Ca: 0.2500 0.2500 0.0000
Ca: 0.7500 0.7500 0.0000
Ni: 0.5000 0.0000 0.5000
Ni: 0.0000 0.5000 0.5000
F: 0.4291 0.9291 0.1172
F: 0.1806 0.6806 0.1236
F: 0.5709 0.0709 0.8828
F: 0.0709 0.1881 0.5000
F: 0.8119 0.3119 0.8828
F: 0.3119 0.4291 0.5000
F: 0.9291 0.8119 0.5000
F: 0.6881 0.5709 0.5000

3.
First-principles (PBE+U) data for CaNiF4 after structural relaxation, as listed in the Materials Project.

Computed properties:
E_form   -19.17 eV/f.u.

a b c (Å): 5.4043 5.4045 6.5295
angles (deg): 114.63 114.55 90.00
Element x y z (fractional)
Ca: 0.2521 0.2508 0.4983
Ca: 0.7523 0.7506 0.4982
Ni: 0.0013 0.5001 0.9974
Ni: 0.5028 0.0016 0.9995
F: 0.9352 0.4336 0.2470
F: 0.6864 0.1853 0.7435
F: 0.0665 0.5654 0.7468
F: 0.1879 0.0660 0.7478
F: 0.3168 0.8151 0.2508
F: 0.4383 0.3158 0.2512
F: 0.8173 0.9359 0.2502
F: 0.5659 0.6868 0.7467

4.
First-principles (PBE+U) data for CaNiF6 after structural relaxation, as listed in the Materials Project.

Computed properties:
E_form   -20.62 eV/f.u.

a b c (Å): 5.6594 5.6594 5.6594
angles (deg): 58.20 58.20 58.20
Element x y z (fractional)
Ca: 0.5000 0.5000 0.5000
Ni: 0.0000 0.0000 0.0000
F: 0.6895 0.8731 0.2160
F: 0.8731 0.2160 0.6895
F: 0.7840 0.3105 0.1269
F: 0.1269 0.7840 0.3105
F: 0.3105 0.1269 0.7840
F: 0.2160 0.6895 0.8731

5.
First-principles (PBE+U) data for Ca2Ni2SF6 after structural relaxation, as listed in the Materials Project.

Computed properties:
E_form   -28.74 eV/f.u.

a b c (Å): 7.8275 7.8275 7.8275
angles (deg): 60.00 60.00 60.00
Element x y z (fractional)
Ca: 0.3750 0.3750 0.3750
Ca: 0.3750 0.3750 0.8750
Ca: 0.3750 0.8750 0.3750
Ca: 0.8750 0.3750 0.3750
Ni: 0.8750 0.8750 0.8750
Ni: 0.8750 0.8750 0.3750
Ni: 0.8750 0.3750 0.8750
Ni: 0.3750 0.8750 0.8750
S: 0.2500 0.2500 0.2500
S: 0.5000 0.5000 0.5000
F: 0.5526 0.9474 0.9474
F: 0.9474 0.5526 0.9474
F: 0.9474 0.9474 0.5526
F: 0.9474 0.5526 0.5526
F: 0.5526 0.9474 0.5526
F: 0.5526 0.5526 0.9474
F: 0.1974 0.8026 0.8026
F: 0.8026 0.1974 0.8026
F: 0.8026 0.8026 0.1974
F: 0.8026 0.1974 0.1974
F: 0.1974 0.8026 0.1974
F: 0.1974 0.1974 0.8026

6.
First-principles (PBE+U) data for Ca5V3O12F after structural relaxation, as listed in the Materials Project.

Computed properties:
E_form   -65.56 eV/f.u.

a b c (Å): 7.0266 9.8601 9.8777
angles (deg): 119.87 90.68 90.20
Element x y z (fractional)
Ca: 0.7561 0.7660 0.0045
Ca: 0.9973 0.3355 0.6850
Ca: 0.2488 0.7557 0.7614
Ca: 0.5026 0.3353 0.6538
Ca: 0.7512 0.2443 0.2386
Ca: 0.2439 0.2340 0.9955
Ca: 0.2569 0.0044 0.2447
Ca: 0.4974 0.6647 0.3462
Ca: 0.0027 0.6646 0.3150
Ca: 0.7431 0.9956 0.7553
V: 0.7580 0.9742 0.3696
V: 0.2637 0.6011 0.9727
V: 0.7551 0.6291 0.6021
V: 0.7363 0.3989 0.0273
V: 0.2449 0.3709 0.3979
V: 0.2420 0.0258 0.6304
O: 0.7339 0.8706 0.4708
O: 0.9566 0.9004 0.2523
O: 0.2230 0.4700 0.6023
O: 0.5521 0.3314 0.0943
O: 0.2649 0.3954 0.8707
O: 0.2304 0.8250 0.5080
O: 0.4535 0.2650 0.3588
O: 0.4268 0.0707 0.7636
O: 0.2702 0.6844 0.1744
O: 0.5465 0.7350 0.6412
O: 0.2661 0.1294 0.5292
O: 0.2475 0.4931 0.3189
O: 0.7298 0.3156 0.8256
O: 0.7351 0.6046 0.1293
O: 0.9318 0.7700 0.6923
O: 0.7770 0.5300 0.3977
O: 0.0596 0.6576 0.9152
O: 0.0682 0.2300 0.3077
O: 0.5732 0.9293 0.2364
O: 0.7525 0.5069 0.6811
O: 0.0434 0.0996 0.7477
O: 0.9404 0.3424 0.0848
O: 0.7696 0.1750 0.4920
O: 0.4479 0.6686 0.9057
F: 0.2491 0.9955 0.0007
F: 0.7509 0.0045 0.9993

7.
First-principles (PBE+U) data for CaWF5 after structural relaxation, as listed in the Materials Project.

Computed properties:
Energy relative to the lowest polymorph listed for this composition   0.00 eV per formula unit
E_form   -22.88 eV/f.u.

a b c (Å): 5.8546 5.8546 7.9909
angles (deg): 70.22 70.22 72.46
Element x y z (fractional)
Ca: 0.5332 0.4668 0.7500
Ca: 0.4668 0.5332 0.2500
W: 0.0000 0.0000 0.0000
W: 0.0000 0.0000 0.5000
F: 0.1089 0.8911 0.2500
F: 0.8911 0.1089 0.7500
F: 0.2172 0.2678 0.3704
F: 0.7322 0.7828 0.1296
F: 0.7051 0.3164 0.0308
F: 0.6836 0.2949 0.4692
F: 0.2949 0.6836 0.9692
F: 0.3164 0.7051 0.5308
F: 0.2678 0.2172 0.8704
F: 0.7828 0.7322 0.6296

8.
First-principles (PBE+U) data for CaWF5 after structural relaxation, as listed in the Materials Project.

Computed properties:
Energy relative to the lowest polymorph listed for this composition   0.07 eV per formula unit
E_form   -22.81 eV/f.u.

a b c (Å): 10.8596 5.7166 7.9747
angles (deg): 70.18 90.00 90.00
Element x y z (fractional)
Ca: 0.0150 0.5270 0.7465
Ca: 0.5150 0.4730 0.7535
Ca: 0.9850 0.4730 0.2535
Ca: 0.4850 0.5270 0.2465
W: 0.7530 0.1075 0.5998
W: 0.2530 0.8925 0.9002
W: 0.2470 0.8925 0.4002
W: 0.7470 0.1075 0.0998
F: 0.8866 0.3977 0.5554
F: 0.3866 0.6023 0.9446
F: 0.1134 0.6023 0.4446
F: 0.6134 0.3977 0.0554
F: 0.6067 0.3655 0.5009
F: 0.1067 0.6345 0.9991
F: 0.3933 0.6345 0.4991
F: 0.8933 0.3655 0.0009
F: 0.3984 0.1395 0.8073
F: 0.8984 0.8605 0.6927
F: 0.6016 0.8605 0.1927
F: 0.1016 0.1395 0.3073
F: 0.1308 0.1898 0.8513
F: 0.6308 0.8102 0.6487
F: 0.8692 0.8102 0.1487
F: 0.3692 0.1898 0.3513
F: 0.6826 0.1414 0.8403
F: 0.1826 0.8586 0.6597
F: 0.3174 0.8586 0.1597
F: 0.8174 0.1414 0.3403

9.
First-principles (PBE+U) data for Ca2LaGaFe2O8 after structural relaxation, as listed in the Materials Project.

Computed properties:
E_form   -37.42 eV/f.u.

a b c (Å): 11.3221 5.5336 5.6276
angles (deg): 89.91 90.00 90.00
Element x y z (fractional)
Ca: 0.3138 0.7546 0.7276
Ca: 0.6862 0.7546 0.7276
Ca: 0.6858 0.2543 0.2723
Ca: 0.3142 0.2543 0.2723
La: 0.0000 0.8039 0.7443
La: 0.0000 0.3026 0.2569
Ga: 0.1749 0.2832 0.7581
Ga: 0.8251 0.2832 0.7581
Fe: 0.8242 0.7825 0.2398
Fe: 0.1758 0.7825 0.2398
Fe: 0.5000 0.2317 0.8134
Fe: 0.5000 0.7315 0.1860
O: 0.5000 0.8817 0.8732
O: 0.5000 0.3820 0.1266
O: 0.3564 0.3168 0.6698
O: 0.6436 0.3168 0.6698
O: 0.6431 0.8181 0.3307
O: 0.3569 0.8181 0.3307
O: 0.1465 0.0562 0.4824
O: 0.8535 0.0562 0.4824
O: 0.8533 0.5532 0.5218
O: 0.1467 0.5532 0.5218
O: 0.0000 0.2755 0.8302
O: 0.0000 0.7756 0.1730
O: 0.2014 0.0109 0.9722
O: 0.7986 0.0109 0.9722
O: 0.7986 0.5079 0.0234
O: 0.2014 0.5079 0.0234

10.
First-principles (PBE+U) data for Ca3Ga2Fe2O10 after structural relaxation, as listed in the Materials Project.

Computed properties:
E_form   -39.34 eV/f.u.

a b c (Å): 5.4997 5.8143 14.9454
angles (deg): 68.66 90.00 90.00
Element x y z (fractional)
Ca: 0.7302 0.0685 0.8857
Ca: 0.7713 0.9367 0.1111
Ca: 0.7663 0.6215 0.4075
Ca: 0.2287 0.9367 0.6111
Ca: 0.2337 0.6215 0.9075
Ca: 0.2698 0.0685 0.3857
Ga: 0.8128 0.3358 0.2485
Ga: 0.1872 0.3358 0.7485
Ga: 0.3075 0.6541 0.2460
Ga: 0.6925 0.6541 0.7460
Fe: 0.7395 0.5028 0.0053
Fe: 0.7469 0.0120 0.5026
Fe: 0.2605 0.5028 0.5053
Fe: 0.2531 0.0120 0.0026
O: 0.8535 0.3723 0.7528
O: 0.0270 0.7352 0.5142
O: 0.9730 0.7352 0.0142
O: 0.7296 0.2946 0.1365
O: 0.4944 0.7663 0.0152
O: 0.5128 0.2795 0.9784
O: 0.5056 0.7663 0.5152
O: 0.2785 0.0631 0.8578
O: 0.3461 0.6225 0.7528
O: 0.1465 0.3723 0.2528
O: 0.4872 0.2795 0.4784
O: 0.7703 0.7003 0.8618
O: 0.7215 0.0631 0.3578
O: 0.6539 0.6225 0.2528
O: 0.9999 0.2454 0.4764
O: 0.2704 0.2946 0.6365
O: 0.2144 0.9247 0.1391
O: 0.0001 0.2454 0.9764
O: 0.7856 0.9247 0.6391
O: 0.2297 0.7003 0.3618

11.
First-principles (PBE+U) data for CaFeGe4O12 after structural relaxation, as listed in the Materials Project.

Computed properties:
E_form   -31.72 eV/f.u.

a b c (Å): 5.2466 5.2466 7.4384
angles (deg): 90.00 90.00 83.50
Element x y z (fractional)
Ca: 0.5618 0.4382 0.5000
Fe: 0.9309 0.0691 0.0000
Ge: 0.4698 0.9766 0.2454
Ge: 0.4698 0.9766 0.7546
Ge: 0.0234 0.5302 0.7546
Ge: 0.0234 0.5302 0.2454
O: 0.3224 0.3112 0.2603
O: 0.6888 0.6776 0.2603
O: 0.6888 0.6776 0.7397
O: 0.3224 0.3112 0.7397
O: 0.1623 0.8377 0.1856
O: 0.8098 0.1902 0.2606
O: 0.8098 0.1902 0.7394
O: 0.1623 0.8377 0.8144
O: 0.5712 0.0040 0.0000
O: 0.4521 0.9567 0.5000
O: 0.9960 0.4288 0.0000
O: 0.0433 0.5479 0.5000

12.
First-principles (PBE+U) data for Ca2FeP3H4O13 after structural relaxation, as listed in the Materials Project.

Computed properties:
E_form   -56.97 eV/f.u.

a b c (Å): 7.5814 8.7483 9.2587
angles (deg): 80.01 66.40 64.32
Element x y z (fractional)
Ca: 0.2791 0.9820 0.4377
Ca: 0.7209 0.0180 0.5623
Ca: 0.7389 0.9820 0.0623
Ca: 0.2611 0.0180 0.9377
Fe: 0.5000 0.5000 0.5000
Fe: 0.0000 0.5000 0.0000
P: 0.5153 0.3032 0.8488
P: 0.4847 0.6968 0.1512
P: 0.1815 0.3032 0.6512
P: 0.8185 0.6968 0.3488
P: 0.1030 0.7941 0.7500
P: 0.8970 0.2059 0.2500
H: 0.6887 0.3920 0.9439
H: 0.3113 0.6080 0.0561
H: 0.9193 0.3920 0.5561
H: 0.0807 0.6080 0.4439
H: 0.5538 0.7334 0.7121
H: 0.4462 0.2666 0.2879
H: 0.7128 0.7334 0.7879
H: 0.2872 0.2666 0.2121
O: 0.3109 0.4475 0.9468
O: 0.6891 0.5525 0.0532
O: 0.2416 0.4475 0.5532
O: 0.7584 0.5525 0.4468
O: 0.3423 0.6883 0.6588
O: 0.6577 0.3117 0.3412
O: 0.9694 0.6883 0.8412
O: 0.0306 0.3117 0.1588
O: 0.6919 0.2897 0.9084
O: 0.3081 0.7103 0.0916
O: 0.0185 0.2897 0.5916
O: 0.9815 0.7103 0.4084
O: 0.5974 0.8051 0.7500
O: 0.4026 0.1949 0.2500
O: 0.0841 0.9053 0.8711
O: 0.9159 0.0947 0.1289
O: 0.0106 0.9053 0.6289
O: 0.9894 0.0947 0.3711
O: 0.5810 0.3313 0.6687
O: 0.4190 0.6687 0.3313
O: 0.0876 0.3313 0.8313
O: 0.9124 0.6687 0.1687
O: 0.5215 0.1228 0.8815
O: 0.4785 0.8772 0.1185
O: 0.3557 0.1228 0.6185
O: 0.6443 0.8772 0.3815